8
Lattice="3.557 -6.161 0.000 3.557 6.161 0.000 0.000 0.000 5.688" Properties=species:S:1:pos:R:3 comment="CeEr3 (PBE, relaxed)" volume_a3_per_fu=125 space_group="P6_3/mmc (194)" formation_enthalpy_0k_mev_per_atom=63.8 dft_energy_ev_per_atom=-4.845 relative_energy_ev_per_fu=0.00 pbc="T T T"
Ce 3.557 2.054 4.266
Ce 3.557 -2.054 1.422
Er 1.766 1.020 1.422
Er 5.348 1.020 1.422
Er 3.557 4.122 1.422
Er 5.348 -1.020 4.266
Er 1.766 -1.020 4.266
Er 3.557 -4.122 4.266